VASP calculation (PBE-GGA) on a geometry-optimized Mg6BSbO8 structure.

## Properties
E above lowest polymorph = 19 meV per atom
Volume = 10.79 Å³ per atom
Space group = No. 123
Crystal system = tetragonal
Formation energy from the elements = -210.7 kJ per mole of atoms
Size of the total moment = 0.004 μB/f.u.

Cell: 8.9517 4.3922 4.3922 Å, 90.00 90.00 90.00°
Sites, in units of the cell vectors:
Mg1 0.0000 0.5000 0.5000
Mg2 0.5000 0.5000 0.5000
Mg3 0.2260 0.0000 0.5000
Mg4 0.7740 0.0000 0.5000
Mg5 0.2260 0.5000 0.0000
Mg6 0.7740 0.5000 0.0000
B1 0.0000 0.0000 0.0000
Sb1 0.5000 0.0000 0.0000
O1 0.2434 0.0000 0.0000
O2 0.7566 0.0000 0.0000
O3 0.2509 0.5000 0.5000
O4 0.7491 0.5000 0.5000
O5 0.0000 0.0000 0.5000
O6 0.5000 0.0000 0.5000
O7 0.0000 0.5000 0.0000
O8 0.5000 0.5000 0.0000